Entry 1:
VASP calculation (PBE with a Hubbard U) on a relaxed structure of MnTeO3.

Calculated values
Calculated total energy (eV per atom): -6.23
E_form (meV per atom): -1544

Cell lengths 5.746, 8.227, 5.587 Å; angles 90.00, 90.00, 90.00 degrees
Positions (direct):
Mn (0.044, 0.250, 0.005)
Mn (0.456, 0.750, 0.505)
Mn (0.544, 0.250, 0.495)
Mn (0.956, 0.750, 0.995)
Te (0.000, 0.000, 0.500)
Te (0.000, 0.500, 0.500)
Te (0.500, 0.000, 0.000)
Te (0.500, 0.500, 0.000)
O (0.095, 0.750, 0.359)
O (0.180, 0.574, 0.825)
O (0.180, 0.926, 0.825)
O (0.320, 0.074, 0.325)
O (0.320, 0.426, 0.325)
O (0.405, 0.250, 0.859)
O (0.595, 0.750, 0.141)
O (0.680, 0.574, 0.675)
O (0.680, 0.926, 0.675)
O (0.820, 0.074, 0.175)
O (0.820, 0.426, 0.175)
O (0.905, 0.250, 0.641)

Entry 2:
VASP calculation (PBE with a Hubbard U) on a relaxed structure of Mn4TeO8.

Calculated values
Calculated total energy (eV per atom): -7.00
E_form (meV per atom): -1829

Cell lengths 6.151, 6.266, 6.305 Å; angles 61.19, 60.99, 60.78 degrees
Positions (direct):
Mn (0.000, 0.000, 0.000)
Mn (0.000, 0.000, 0.500)
Mn (0.500, 0.000, 0.000)
Mn (0.500, 0.500, 0.000)
Te (0.000, 0.500, 0.000)
O (0.222, 0.245, 0.811)
O (0.222, 0.719, 0.783)
O (0.223, 0.281, 0.218)
O (0.251, 0.813, 0.186)
O (0.749, 0.187, 0.814)
O (0.777, 0.719, 0.782)
O (0.778, 0.281, 0.217)
O (0.778, 0.755, 0.189)

Entry 3:
VASP calculation (PBE with a Hubbard U) on a relaxed structure of MnTeO3.

Calculated values
Calculated total energy (eV per atom): -6.42
E_form (meV per atom): -1740

Cell lengths 6.208, 7.879, 5.503 Å; angles 90.00, 90.00, 90.00 degrees
Positions (direct):
Mn (0.000, 0.000, 0.000)
Mn (0.000, 0.500, 0.000)
Mn (0.500, 0.000, 0.500)
Mn (0.500, 0.500, 0.500)
Te (0.009, 0.250, 0.487)
Te (0.491, 0.750, 0.987)
Te (0.509, 0.250, 0.013)
Te (0.991, 0.750, 0.513)
O (0.064, 0.750, 0.173)
O (0.177, 0.571, 0.640)
O (0.177, 0.929, 0.640)
O (0.323, 0.071, 0.140)
O (0.323, 0.429, 0.140)
O (0.436, 0.250, 0.673)
O (0.564, 0.750, 0.327)
O (0.677, 0.571, 0.860)
O (0.677, 0.929, 0.860)
O (0.823, 0.071, 0.360)
O (0.823, 0.429, 0.360)
O (0.936, 0.250, 0.827)

Entry 4:
VASP calculation (PBE with a Hubbard U) on a relaxed structure of Ti2Mn3Te3O16.

Calculated values
Calculated total energy (eV per atom): -6.78
E_form (meV per atom): -1954

Cell lengths 6.400, 6.400, 9.340 Å; angles 93.37, 93.37, 57.59 degrees
Positions (direct):
Ti (0.000, 0.000, 0.000)
Ti (0.684, 0.684, 0.454)
Mn (0.187, 0.687, 0.271)
Mn (0.540, 0.540, 0.761)
Mn (0.687, 0.187, 0.271)
Te (0.037, 0.538, 0.748)
Te (0.186, 0.186, 0.249)
Te (0.538, 0.037, 0.748)
O (0.002, 0.512, 0.364)
O (0.048, 0.048, 0.362)
O (0.181, 0.699, 0.858)
O (0.219, 0.219, 0.854)
O (0.307, 0.899, 0.113)
O (0.339, 0.339, 0.166)
O (0.357, 0.357, 0.641)
O (0.424, 0.864, 0.627)
O (0.512, 0.002, 0.364)
O (0.537, 0.537, 0.380)
O (0.699, 0.181, 0.858)
O (0.725, 0.725, 0.866)
O (0.846, 0.846, 0.626)
O (0.864, 0.424, 0.627)
O (0.886, 0.886, 0.117)
O (0.899, 0.307, 0.113)

Entry 5:
VASP calculation (PBE with a Hubbard U) on a relaxed structure of Mn5Zn4Te3O18.

Calculated values
Calculated total energy (eV per atom): -6.10
E_form (meV per atom): -1810

Cell lengths 8.877, 8.877, 10.792 Å; angles 92.59, 92.59, 61.17 degrees
Positions (direct):
Mn (0.003, 0.279, 0.759)
Mn (0.130, 0.549, 0.944)
Mn (0.194, 0.806, 0.750)
Mn (0.279, 0.003, 0.259)
Mn (0.451, 0.870, 0.556)
Mn (0.549, 0.130, 0.444)
Mn (0.721, 0.997, 0.741)
Mn (0.806, 0.194, 0.250)
Mn (0.870, 0.451, 0.056)
Mn (0.997, 0.721, 0.241)
Zn (0.058, 0.346, 0.427)
Zn (0.324, 0.615, 0.447)
Zn (0.346, 0.058, 0.927)
Zn (0.385, 0.676, 0.053)
Zn (0.615, 0.324, 0.947)
Zn (0.654, 0.942, 0.073)
Zn (0.676, 0.385, 0.553)
Zn (0.942, 0.654, 0.573)
Te (0.000, 0.000, 0.000)
Te (0.000, 0.000, 0.500)
Te (0.333, 0.339, 0.195)
Te (0.339, 0.333, 0.695)
Te (0.661, 0.667, 0.305)
Te (0.667, 0.661, 0.805)
O (0.046, 0.086, 0.157)
O (0.076, 0.773, 0.067)
O (0.086, 0.046, 0.657)
O (0.097, 0.757, 0.551)
O (0.109, 0.438, 0.112)
O (0.113, 0.404, 0.604)
O (0.227, 0.924, 0.433)
O (0.238, 0.263, 0.828)
O (0.243, 0.903, 0.949)
O (0.244, 0.554, 0.781)
O (0.248, 0.553, 0.291)
O (0.263, 0.238, 0.328)
O (0.401, 0.436, 0.056)
O (0.404, 0.113, 0.104)
O (0.436, 0.401, 0.556)
O (0.438, 0.109, 0.612)
O (0.446, 0.756, 0.719)
O (0.447, 0.752, 0.209)
O (0.553, 0.248, 0.791)
O (0.554, 0.244, 0.281)
O (0.562, 0.891, 0.388)
O (0.564, 0.599, 0.444)
O (0.596, 0.887, 0.896)
O (0.599, 0.564, 0.944)
O (0.737, 0.762, 0.672)
O (0.752, 0.447, 0.709)
O (0.756, 0.446, 0.219)
O (0.757, 0.097, 0.051)
O (0.762, 0.737, 0.172)
O (0.773, 0.076, 0.567)
O (0.887, 0.596, 0.396)
O (0.891, 0.562, 0.888)
O (0.903, 0.243, 0.449)
O (0.914, 0.954, 0.343)
O (0.924, 0.227, 0.933)
O (0.954, 0.914, 0.843)

Entry 6:
VASP calculation (PBE with a Hubbard U) on a relaxed structure of Ti3MnO8.

Calculated values
Calculated total energy (eV per atom): -8.42
E_form (meV per atom): -2984

Cell lengths 5.937, 5.937, 8.913 Å; angles 90.00, 90.00, 120.00 degrees
Positions (direct):
Ti (0.167, 0.333, 0.000)
Ti (0.167, 0.833, 0.000)
Ti (0.333, 0.167, 0.500)
Ti (0.667, 0.833, 0.000)
Ti (0.833, 0.167, 0.500)
Ti (0.833, 0.667, 0.500)
Mn (0.333, 0.667, 0.276)
Mn (0.667, 0.333, 0.776)
O (0.000, 0.000, 0.106)
O (0.000, 0.000, 0.606)
O (0.053, 0.527, 0.137)
O (0.173, 0.346, 0.400)
O (0.173, 0.827, 0.400)
O (0.333, 0.667, 0.890)
O (0.346, 0.173, 0.900)
O (0.473, 0.527, 0.137)
O (0.473, 0.947, 0.137)
O (0.527, 0.053, 0.637)
O (0.527, 0.473, 0.637)
O (0.654, 0.827, 0.400)
O (0.667, 0.333, 0.390)
O (0.827, 0.173, 0.900)
O (0.827, 0.654, 0.900)
O (0.947, 0.473, 0.637)

Entry 7:
VASP calculation (PBE with a Hubbard U) on a relaxed structure of Ti3Mn5O16.

Calculated values
Calculated total energy (eV per atom): -7.76
E_form (meV per atom): -2366

Cell lengths 5.864, 5.864, 8.873 Å; angles 90.59, 90.59, 60.12 degrees
Positions (direct):
Ti (0.000, 0.000, 0.000)
Ti (0.331, 0.833, 0.501)
Ti (0.833, 0.331, 0.501)
Mn (0.332, 0.332, 0.506)
Mn (0.493, 0.493, 0.780)
Mn (0.499, 0.995, 0.006)
Mn (0.828, 0.828, 0.278)
Mn (0.995, 0.499, 0.006)
O (0.114, 0.680, 0.138)
O (0.164, 0.164, 0.611)
O (0.166, 0.166, 0.113)
O (0.207, 0.632, 0.638)
O (0.325, 0.325, 0.896)
O (0.329, 0.820, 0.898)
O (0.491, 0.491, 0.392)
O (0.502, 0.987, 0.397)
O (0.632, 0.207, 0.638)
O (0.635, 0.635, 0.641)
O (0.680, 0.114, 0.138)
O (0.683, 0.683, 0.134)
O (0.820, 0.329, 0.898)
O (0.824, 0.824, 0.896)
O (0.987, 0.502, 0.397)
O (0.988, 0.988, 0.399)

Entry 8:
VASP calculation (PBE with a Hubbard U) on a relaxed structure of TiMn9O20.

Calculated values
Calculated total energy (eV per atom): -7.27
Relative energy among the computed polymorphs (meV per atom): 0
E_form (meV per atom): -1916

Cell lengths 5.825, 5.825, 24.046 Å; angles 96.85, 96.85, 59.80 degrees
Positions (direct):
Ti (0.000, 0.000, 0.000)
Ti (0.000, 0.000, 0.500)
Mn (0.000, 0.500, 0.000)
Mn (0.097, 0.605, 0.799)
Mn (0.202, 0.202, 0.100)
Mn (0.202, 0.704, 0.600)
Mn (0.203, 0.203, 0.600)
Mn (0.296, 0.798, 0.400)
Mn (0.395, 0.903, 0.201)
Mn (0.399, 0.399, 0.201)
Mn (0.403, 0.403, 0.700)
Mn (0.500, 0.000, 0.000)
Mn (0.597, 0.597, 0.300)
Mn (0.601, 0.601, 0.799)
Mn (0.605, 0.097, 0.799)
Mn (0.704, 0.202, 0.600)
Mn (0.797, 0.797, 0.400)
Mn (0.798, 0.296, 0.400)
Mn (0.798, 0.798, 0.900)
Mn (0.903, 0.395, 0.201)
O (0.050, 0.050, 0.641)
O (0.071, 0.071, 0.154)
O (0.072, 0.509, 0.154)
O (0.090, 0.534, 0.647)
O (0.111, 0.666, 0.952)
O (0.130, 0.680, 0.446)
O (0.132, 0.132, 0.445)
O (0.155, 0.155, 0.958)
O (0.246, 0.246, 0.242)
O (0.269, 0.717, 0.752)
O (0.272, 0.272, 0.752)
O (0.283, 0.731, 0.248)
O (0.320, 0.870, 0.554)
O (0.330, 0.330, 0.046)
O (0.334, 0.889, 0.048)
O (0.356, 0.356, 0.559)
O (0.448, 0.448, 0.840)
O (0.466, 0.910, 0.353)
O (0.468, 0.468, 0.353)
O (0.491, 0.928, 0.846)
O (0.509, 0.072, 0.154)
O (0.532, 0.532, 0.647)
O (0.534, 0.090, 0.647)
O (0.552, 0.552, 0.160)
O (0.644, 0.644, 0.441)
O (0.666, 0.111, 0.952)
O (0.670, 0.670, 0.954)
O (0.680, 0.130, 0.446)
O (0.717, 0.269, 0.752)
O (0.728, 0.728, 0.248)
O (0.731, 0.283, 0.248)
O (0.754, 0.754, 0.758)
O (0.845, 0.845, 0.042)
O (0.868, 0.868, 0.555)
O (0.870, 0.320, 0.554)
O (0.889, 0.334, 0.048)
O (0.910, 0.466, 0.353)
O (0.928, 0.491, 0.846)
O (0.929, 0.929, 0.846)
O (0.950, 0.950, 0.359)

Entry 9:
VASP calculation (PBE with a Hubbard U) on a relaxed structure of Ti3Mn3O.

Calculated values
Calculated total energy (eV per atom): -7.62
E_form (meV per atom): -411

Cell lengths 8.410, 8.410, 8.410 Å; angles 60.00, 60.00, 60.00 degrees
Positions (direct):
Ti (0.057, 0.057, 0.693)
Ti (0.057, 0.693, 0.057)
Ti (0.057, 0.693, 0.693)
Ti (0.307, 0.307, 0.943)
Ti (0.307, 0.943, 0.307)
Ti (0.307, 0.943, 0.943)
Ti (0.693, 0.057, 0.057)
Ti (0.693, 0.057, 0.693)
Ti (0.693, 0.693, 0.057)
Ti (0.943, 0.307, 0.307)
Ti (0.943, 0.307, 0.943)
Ti (0.943, 0.943, 0.307)
Mn (0.000, 0.500, 0.500)
Mn (0.286, 0.286, 0.286)
Mn (0.286, 0.286, 0.641)
Mn (0.286, 0.641, 0.286)
Mn (0.359, 0.714, 0.714)
Mn (0.500, 0.000, 0.500)
Mn (0.500, 0.500, 0.000)
Mn (0.500, 0.500, 0.500)
Mn (0.641, 0.286, 0.286)
Mn (0.714, 0.359, 0.714)
Mn (0.714, 0.714, 0.359)
Mn (0.714, 0.714, 0.714)
O (0.000, 0.000, 0.000)
O (0.000, 0.000, 0.500)
O (0.000, 0.500, 0.000)
O (0.500, 0.000, 0.000)

Entry 10:
VASP calculation (PBE with a Hubbard U) on a relaxed structure of TiMn4O10.

Calculated values
Calculated total energy (eV per atom): -7.43
E_form (meV per atom): -2063

Cell lengths 5.846, 5.846, 24.156 Å; angles 96.76, 96.76, 59.70 degrees
Positions (direct):
Ti (0.200, 0.200, 0.100)
Ti (0.200, 0.200, 0.600)
Ti (0.800, 0.800, 0.400)
Ti (0.800, 0.800, 0.900)
Mn (0.000, 0.000, 0.000)
Mn (0.000, 0.000, 0.500)
Mn (0.000, 0.500, 0.000)
Mn (0.100, 0.600, 0.800)
Mn (0.200, 0.700, 0.600)
Mn (0.300, 0.800, 0.400)
Mn (0.400, 0.400, 0.200)
Mn (0.400, 0.900, 0.200)
Mn (0.401, 0.401, 0.700)
Mn (0.500, 0.000, 0.000)
Mn (0.599, 0.599, 0.300)
Mn (0.600, 0.100, 0.800)
Mn (0.600, 0.600, 0.800)
Mn (0.700, 0.200, 0.600)
Mn (0.800, 0.300, 0.400)
Mn (0.900, 0.400, 0.200)
O (0.044, 0.044, 0.641)
O (0.069, 0.516, 0.154)
O (0.070, 0.070, 0.154)
O (0.088, 0.535, 0.648)
O (0.115, 0.669, 0.954)
O (0.128, 0.128, 0.447)
O (0.134, 0.688, 0.448)
O (0.153, 0.153, 0.959)
O (0.247, 0.247, 0.241)
O (0.271, 0.711, 0.753)
O (0.272, 0.272, 0.753)
O (0.289, 0.729, 0.247)
O (0.312, 0.866, 0.552)
O (0.330, 0.330, 0.046)
O (0.331, 0.885, 0.046)
O (0.356, 0.356, 0.559)
O (0.447, 0.447, 0.840)
O (0.465, 0.912, 0.352)
O (0.471, 0.471, 0.353)
O (0.484, 0.931, 0.846)
O (0.516, 0.069, 0.154)
O (0.529, 0.529, 0.647)
O (0.535, 0.088, 0.648)
O (0.553, 0.553, 0.160)
O (0.644, 0.644, 0.441)
O (0.669, 0.115, 0.954)
O (0.670, 0.670, 0.954)
O (0.688, 0.134, 0.448)
O (0.711, 0.271, 0.753)
O (0.728, 0.728, 0.247)
O (0.729, 0.289, 0.247)
O (0.753, 0.753, 0.759)
O (0.847, 0.847, 0.041)
O (0.866, 0.312, 0.552)
O (0.872, 0.872, 0.553)
O (0.885, 0.331, 0.046)
O (0.912, 0.465, 0.352)
O (0.930, 0.930, 0.846)
O (0.931, 0.484, 0.846)
O (0.956, 0.956, 0.359)

Entry 11:
VASP calculation (PBE with a Hubbard U) on a relaxed structure of MnTlO3.

Calculated values
Calculated total energy (eV per atom): -6.03
E_form (meV per atom): -1505

Cell lengths 5.560, 7.965, 5.422 Å; angles 90.00, 90.00, 90.00 degrees
Positions (direct):
Mn (0.000, 0.000, 0.000)
Mn (0.000, 0.500, 0.000)
Mn (0.500, 0.000, 0.500)
Mn (0.500, 0.500, 0.500)
Tl (0.049, 0.250, 0.485)
Tl (0.451, 0.750, 0.985)
Tl (0.549, 0.250, 0.015)
Tl (0.951, 0.750, 0.515)
O (0.052, 0.750, 0.109)
O (0.197, 0.559, 0.698)
O (0.197, 0.941, 0.698)
O (0.303, 0.059, 0.198)
O (0.303, 0.441, 0.198)
O (0.448, 0.250, 0.609)
O (0.552, 0.750, 0.391)
O (0.697, 0.559, 0.802)
O (0.697, 0.941, 0.802)
O (0.803, 0.059, 0.302)
O (0.803, 0.441, 0.302)
O (0.948, 0.250, 0.891)